Computed, not measured: a relaxed structure of Ti3Te2Se2 at the PBE level of DFT.

Cell lengths 7.1654, 7.1654, 6.8315 Å; angles 63.60, 63.60, 29.82 degrees
With the nearest neighbours (Å) after each atom.
Atoms (fractional coordinates):
Ti (0.2528, 0.2528, 0.8128)  3 Se 2.53-2.57
Te (0.6346, 0.6346, 0.6826)  5 Ti 2.80-3.01
Te (0.3654, 0.3654, 0.3174)  5 Ti 2.80-3.01
Se (0.1123, 0.1123, 0.2151)  4 Ti 2.53-2.58
Ti (0.7472, 0.7472, 0.1872)  3 Se 2.53-2.57
Se (0.8877, 0.8877, 0.7849)  4 Ti 2.53-2.58
Ti (0.0000, 0.0000, 0.0000)  2 Se 2.58, 4 Te 2.80

Results
total DFT energy (no corrections): -43.66 eV/f.u.
formation enthalpy at 0 K: -1091 meV per atom
total energy after the MP2020 corrections: -6.372 eV/atom
space group: C2/m, No. 12
mass density: 6.0 g/cm3

***

Computed, not measured: a relaxed structure of U2TeSe at the PBE level of DFT.

Cell lengths 7.0714, 7.0714, 7.0714 Å; angles 35.32, 35.32, 35.32 degrees
With the nearest neighbours (Å) after each atom.
Atoms (fractional coordinates):
U (0.2600, 0.2600, 0.2600)  3 Se 2.87, 3 Te 3.09
Se (0.0000, 0.0000, 0.0000)  6 U 2.87
U (0.7400, 0.7400, 0.7400)  3 Se 2.87, 3 Te 3.09
Te (0.5000, 0.5000, 0.5000)  6 U 3.09

Results
total DFT energy (no corrections): -32.09 eV/f.u.
formation enthalpy at 0 K: -836 meV per atom
total energy after the MP2020 corrections: -8.141 eV/atom
space group: R-3m, No. 166
mass density: 10.7 g/cm3

***

Computed, not measured: a relaxed structure of TeWSe at the PBE level of DFT.

Cell lengths 3.4375, 3.4375, 39.2111 Å; angles 90.00, 90.00, 120.00 degrees
With the nearest neighbours (Å) after each atom.
Atoms (fractional coordinates):
Te (0.6667, 0.3333, 0.1416)  3 W 2.72
W (0.6667, 0.3333, 0.9060)  6 Te 2.72
Te (0.3333, 0.6667, 0.9536)  3 W 2.72
Se (0.3333, 0.6667, 0.2399)  3 W 2.58
Se (0.6667, 0.3333, 0.7601)  3 W 2.58
Se (0.3333, 0.6667, 0.3237)  3 W 2.58
Se (0.6667, 0.3333, 0.6763)  3 W 2.58
W (0.3333, 0.6667, 0.7182)  6 Se 2.58
Te (0.6667, 0.3333, 0.0464)  3 W 2.72
W (0.6667, 0.3333, 0.2818)  6 Se 2.58
W (0.3333, 0.6667, 0.0940)  6 Te 2.72
Te (0.3333, 0.6667, 0.8584)  3 W 2.72

Results
total DFT energy (no corrections): -20.46 eV/f.u.
formation enthalpy at 0 K: -446 meV per atom
total energy after the MP2020 corrections: -6.978 eV/atom
space group: P-3m1, No. 164
mass density: 6.5 g/cm3